[1]
First-principles (PBE with a Hubbard U) data for crystalline Li8ScFe7Si16O48 at its relaxed geometry, as listed in the Materials Project.

a b c (Å): 7.3428 9.5428 13.2218
angles (deg): 102.82 95.42 102.27
Atoms (fractional coordinates):
1 O 0.1752 0.9739 0.5154
2 O 0.0448 0.3989 0.8253
3 O 0.0203 0.6480 0.9421
4 O 0.6590 0.6903 0.8994
5 O 0.8400 0.8092 0.6008
6 O 0.4734 0.3600 0.8090
7 O 0.7066 0.3487 0.6746
8 O 0.5293 0.6419 0.1878
9 Fe 0.0715 0.1759 0.0524
10 O 0.0227 0.6474 0.4432
11 Li 0.7486 0.0005 0.6254
12 Si 0.0117 0.2195 0.3074
13 Si 0.3276 0.9422 0.1042
14 Si 0.6733 0.0551 0.8954
15 O 0.5447 0.8996 0.3237
16 Si 0.9872 0.7799 0.6925
17 O 0.9596 0.6016 0.1784
18 Li 0.7543 0.5026 0.8746
19 Fe 0.4265 0.3232 0.4487
20 O 0.2963 0.6480 0.3224
21 Fe 0.0732 0.1764 0.5511
22 Fe 0.9266 0.8235 0.4484
23 O 0.8250 0.0235 0.9837
24 Si 0.1724 0.5602 0.8966
25 O 0.1521 0.1857 0.8983
26 O 0.2057 0.8520 0.1777
27 Fe 0.9260 0.8242 0.9485
28 O 0.8415 0.8097 0.1014
29 O 0.4770 0.8518 0.5566
30 O 0.3244 0.5259 0.4844
31 Sc 0.4260 0.3239 0.9489
32 O 0.2949 0.6477 0.8219
33 Si 0.4892 0.2802 0.6901
34 Fe 0.5734 0.6760 0.5515
35 O 0.9801 0.3535 0.5553
36 Si 0.3263 0.9408 0.6033
37 O 0.0243 0.1398 0.1875
38 O 0.5278 0.6383 0.6868
39 O 0.9778 0.3527 0.0575
40 Si 0.6730 0.0591 0.3968
41 Li 0.7494 0.0007 0.1258
42 Li 0.2470 0.9958 0.8739
43 O 0.7915 0.1474 0.8215
44 O 0.8241 0.0259 0.4846
45 Li 0.2507 0.9998 0.3746
46 O 0.7949 0.1497 0.3235
47 O 0.4553 0.1015 0.1778
48 O 0.3364 0.3097 0.1044
49 O 0.2042 0.8522 0.6776
50 O 0.5230 0.1419 0.9439
51 Si 0.5123 0.7173 0.8063
52 O 0.7027 0.3529 0.1768
53 O 0.0451 0.3993 0.3231
54 Si 0.1736 0.5588 0.3962
55 Si 0.8292 0.4433 0.1049
56 Si 0.4870 0.2811 0.1944
57 Li 0.7502 0.4997 0.3749
58 O 0.5215 0.1469 0.4437
59 O 0.3407 0.3088 0.5987
60 Fe 0.5746 0.6789 0.0524
61 O 0.0263 0.1423 0.6870
62 Si 0.5133 0.7200 0.3075
63 O 0.9716 0.8577 0.8123
64 O 0.3230 0.5315 0.9865
65 O 0.9726 0.8596 0.3129
66 Si 0.8282 0.4410 0.6022
67 Li 0.2479 0.5035 0.1286
68 O 0.6827 0.4796 0.0169
69 O 0.4802 0.8553 0.0575
70 O 0.5460 0.8966 0.8211
71 Si 0.0087 0.2183 0.8069
72 O 0.4747 0.3599 0.3142
73 Si 0.9888 0.7811 0.1934
74 O 0.6765 0.4745 0.5150
75 O 0.9560 0.6002 0.6760
76 O 0.1595 0.1901 0.3986
77 Li 0.2498 0.5000 0.6249
78 O 0.6602 0.6909 0.3994
79 O 0.1761 0.9743 0.0160
80 O 0.4551 0.1006 0.6753

Results
For the final energy, the calculation gives -7.284 eV per atom. Its energy relative to the elements is -2.828 eV per atom. The calculation puts the energy with MP2020 corrections at -7.893 eV/atom. As for the space-group type: P1 (1).

=====

[2]
First-principles (PBE with a Hubbard U) data for crystalline Li4ScFe3Si8O24 at its relaxed geometry, as listed in the Materials Project.

a b c (Å): 8.8543 5.3745 9.4360
angles (deg): 78.15 90.00 90.00
Atoms (fractional coordinates):
1 O 0.2523 0.2850 0.6344
2 Sc 0.3980 0.5000 0.5000
3 O 0.7558 0.7896 0.1299
4 O 0.5887 0.7220 0.3818
5 O 0.9155 0.2825 0.1164
6 Li 0.2415 0.0000 0.5000
7 Li 0.7588 0.5000 0.5000
8 O 0.4163 0.2086 0.3813
9 Li 0.7430 0.5000 0.0000
10 O 0.7448 0.7883 0.6308
11 O 0.7558 0.2104 0.8701
12 O 0.2449 0.2902 0.1303
13 O 0.5006 0.4501 0.8534
14 O 0.4163 0.7914 0.6187
15 O 0.2523 0.7150 0.3656
16 Si 0.0863 0.7220 0.2942
17 Li 0.2571 0.0000 0.0000
18 O 0.5887 0.2780 0.6182
19 O 0.9990 0.4503 0.3538
20 O 0.2449 0.7098 0.8697
21 O 0.9988 0.9502 0.3541
22 Si 0.0863 0.2780 0.7058
23 Si 0.4114 0.7218 0.7976
24 O 0.5006 0.5499 0.1466
25 O 0.9990 0.5497 0.6462
26 O 0.7448 0.2117 0.3692
27 Si 0.5901 0.2185 0.7974
28 Si 0.9106 0.2207 0.2956
29 O 0.4999 0.9499 0.8565
30 Fe 0.6053 0.0000 0.5000
31 O 0.0830 0.2171 0.8850
32 Si 0.9106 0.7793 0.7044
33 O 0.4999 0.0501 0.1435
34 O 0.9988 0.0498 0.6459
35 Si 0.4114 0.2782 0.2024
36 Si 0.5901 0.7815 0.2026
37 Fe 0.8970 0.0000 0.0000
38 O 0.9155 0.7175 0.8836
39 O 0.0830 0.7829 0.1150
40 Fe 0.1031 0.5000 0.0000

Results
For the final energy, the calculation gives -7.357 eV per atom. Its energy relative to the elements is -2.900 eV per atom. The calculation puts the energy with MP2020 corrections at -7.939 eV/atom. As for the space-group type: P2 (3).

=====

[3]
First-principles (PBE with a Hubbard U) data for crystalline Li2ScFeSi4O12 at its relaxed geometry, as listed in the Materials Project.

a b c (Å): 6.6656 6.6656 5.3914
angles (deg): 74.81 74.81 84.00
Atoms (fractional coordinates):
1 O 0.0342 0.2031 0.0882
2 Fe 0.1077 0.8923 0.0000
3 O 0.9707 0.7944 0.3958
4 O 0.7969 0.9658 0.9118
5 O 0.6445 0.6455 0.3108
6 Sc 0.8971 0.1029 0.5000
7 O 0.3465 0.3526 0.1944
8 Si 0.3833 0.2088 0.4786
9 O 0.6206 0.1194 0.4119
10 Si 0.2076 0.3862 0.9746
11 Li 0.2535 0.7465 0.5000
12 O 0.1179 0.6253 0.9119
13 O 0.3545 0.3555 0.6892
14 O 0.2056 0.0293 0.6042
15 Li 0.7517 0.2483 0.0000
16 O 0.6474 0.6535 0.8056
17 Si 0.7912 0.6167 0.5214
18 O 0.3747 0.8821 0.0881
19 Si 0.6138 0.7924 0.0254
20 O 0.8806 0.3794 0.5881

Results
For the final energy, the calculation gives -7.506 eV per atom. Its energy relative to the elements is -3.046 eV per atom. The calculation puts the energy with MP2020 corrections at -8.031 eV/atom. As for the space-group type: C2 (5).

=====

[4]
First-principles (PBE with a Hubbard U) data for crystalline Li4ScFe3Si8O24 at its relaxed geometry, as listed in the Materials Project.

a b c (Å): 7.3567 9.5547 13.9224
angles (deg): 106.18 90.07 110.11
Atoms (fractional coordinates):
1 Li 0.3118 0.6861 0.5620
2 Fe 0.9905 0.0089 0.8840
3 O 0.9501 0.2861 0.7408
4 O 0.3848 0.9116 0.7356
5 Li 0.8132 0.1890 0.0627
6 Si 0.8409 0.5670 0.2284
7 Fe 0.7392 0.2607 0.6340
8 O 0.9928 0.7152 0.6388
9 O 0.7400 0.9665 0.3912
10 Si 0.8054 0.6026 0.0143
11 O 0.2531 0.0327 0.6093
12 O 0.8806 0.4126 0.2385
13 Li 0.9393 0.0593 0.6842
14 O 0.6983 0.0392 0.5867
15 O 0.5807 0.1579 0.9581
16 O 0.4850 0.7465 0.4561
17 O 0.7986 0.9647 0.0019
18 Si 0.3055 0.1007 0.5127
19 Si 0.1984 0.3987 0.9871
20 Li 0.5615 0.4384 0.8104
21 O 0.2044 0.5393 0.0859
22 O 0.4880 0.2139 0.1404
23 Si 0.9076 0.6854 0.5228
24 O 0.0532 0.7140 0.2557
25 O 0.3340 0.4110 0.7055
26 Si 0.3402 0.0643 0.7252
27 O 0.5487 0.2140 0.7513
28 Fe 0.2603 0.7394 0.3648
29 Sc 0.7621 0.2380 0.8627
30 O 0.8257 0.9062 0.2079
31 Si 0.5548 0.8482 0.7622
32 Si 0.6559 0.9347 0.2749
33 O 0.4175 0.8412 0.0443
34 O 0.6335 0.6643 0.9888
35 Si 0.4082 0.1845 0.0234
36 O 0.3036 0.4632 0.5051
37 O 0.1322 0.1598 0.4853
38 O 0.1182 0.5897 0.7633
39 O 0.1981 0.0363 0.9921
40 O 0.4445 0.7869 0.2465
41 Si 0.0921 0.3152 0.4772
42 O 0.6965 0.5367 0.4949
43 O 0.9505 0.7877 0.8356
44 O 0.5465 0.7082 0.6629
45 Sc 0.0110 0.9892 0.1145
46 O 0.9931 0.2456 0.9570
47 O 0.1683 0.0894 0.7926
48 O 0.3732 0.3412 0.0141
49 Si 0.6918 0.8989 0.4879
50 O 0.5130 0.2528 0.5443
51 Si 0.1600 0.4350 0.7713
52 O 0.7978 0.4643 0.9146
53 O 0.2641 0.5066 0.2967
54 Fe 0.2406 0.7596 0.1363
55 O 0.0082 0.2868 0.3614
56 O 0.7370 0.4961 0.7040
57 Li 0.0641 0.9365 0.3146
58 Si 0.9443 0.6484 0.7362
59 Li 0.6884 0.3130 0.4370
60 O 0.0160 0.7505 0.0450
61 Si 0.0561 0.3553 0.2649
62 O 0.2409 0.9958 0.2090
63 O 0.6683 0.5927 0.2952
64 O 0.0517 0.2169 0.1659
65 Li 0.1886 0.8095 0.9358
66 O 0.6209 0.0916 0.2656
67 O 0.7648 0.9970 0.7926
68 O 0.0793 0.6597 0.4555
69 O 0.4522 0.2908 0.3369
70 O 0.8660 0.8403 0.5149
71 O 0.3000 0.9604 0.4142
72 Li 0.4380 0.5631 0.1883
73 O 0.7575 0.5360 0.1119
74 Fe 0.5113 0.4886 0.6133
75 Si 0.5891 0.8160 0.9765
76 Fe 0.4894 0.5112 0.3861
77 O 0.5027 0.7821 0.8598
78 O 0.9192 0.3409 0.5436
79 O 0.2411 0.4627 0.8880
80 Si 0.4458 0.1491 0.2388

Results
For the final energy, the calculation gives -7.357 eV per atom. Its energy relative to the elements is -2.901 eV per atom. The calculation puts the energy with MP2020 corrections at -7.939 eV/atom. As for the space-group type: P1 (1).